This record from the Materials Project describes an optimized crystal structure of K6Tl2Sb3. The functional is meta-GGA r2SCAN.

Results
Its energy of formation from the pure elements is -0.5181 eV/atom. The symmetry is C2/c. Its calculated total energy is -901.15 eV per cell.

Cell: 9.9297 9.9297 19.8790 Å, 97.06 97.06 119.38°
Closest atoms and distances in Å follow each position.
Positions (direct):
1 K 0.0240 0.9760 0.7500  4 Sb 3.50-3.59, 1 K 3.85
2 K 0.0616 0.8743 0.5544  4 Sb 3.58-3.83, 2 Tl 3.59-3.87, 3 K 3.85-3.96
3 K 0.0765 0.5877 0.6780  1 Tl 3.44, 4 Sb 3.54-3.71, 1 K 3.85
4 K 0.1257 0.9384 0.9456  4 Sb 3.58-3.83, 2 Tl 3.59-3.87, 3 K 3.85-3.96
5 K 0.2005 0.7995 0.2500  4 Sb 3.49-3.66, 1 K 3.85
6 K 0.2162 0.6716 0.0536  2 Tl 3.61-3.84, 4 Sb 3.65-3.76, 5 K 3.85-4.03
7 K 0.2444 0.4131 0.1778  1 Tl 3.44, 4 Sb 3.61-3.68, 2 K 3.85
8 K 0.3284 0.7838 0.4464  2 Tl 3.61-3.84, 4 Sb 3.65-3.76, 5 K 3.85-4.03
9 K 0.3368 0.4857 0.5540  4 Sb 3.56-3.72, 3 Tl 3.68-3.90, 3 K 3.89-3.90
10 K 0.4123 0.9235 0.8220  1 Tl 3.44, 4 Sb 3.54-3.71, 1 K 3.85
11 K 0.4131 0.2444 0.6778  1 Tl 3.44, 4 Sb 3.61-3.68, 2 K 3.85
12 K 0.4857 0.3368 0.0540  4 Sb 3.56-3.72, 3 Tl 3.68-3.90, 3 K 3.89-3.90
13 K 0.5143 0.6632 0.9460  4 Sb 3.56-3.72, 3 Tl 3.68-3.90, 3 K 3.89-3.90
14 K 0.5869 0.7556 0.3222  1 Tl 3.44, 4 Sb 3.61-3.68, 2 K 3.85
15 K 0.5877 0.0765 0.1780  1 Tl 3.44, 4 Sb 3.54-3.71, 1 K 3.85
16 K 0.6632 0.5143 0.4460  4 Sb 3.56-3.72, 3 Tl 3.68-3.90, 3 K 3.89-3.90
17 K 0.6716 0.2162 0.5536  2 Tl 3.61-3.84, 4 Sb 3.65-3.76, 5 K 3.85-4.03
18 K 0.7556 0.5869 0.8222  1 Tl 3.44, 4 Sb 3.61-3.68, 2 K 3.85
19 K 0.7838 0.3284 0.9464  2 Tl 3.61-3.84, 4 Sb 3.65-3.76, 5 K 3.85-4.03
20 K 0.7995 0.2005 0.7500  4 Sb 3.49-3.66, 1 K 3.85
21 K 0.8743 0.0616 0.0544  4 Sb 3.58-3.83, 2 Tl 3.59-3.87, 3 K 3.85-3.96
22 K 0.9235 0.4123 0.3220  1 Tl 3.44, 4 Sb 3.54-3.71, 1 K 3.85
23 K 0.9384 0.1257 0.4456  4 Sb 3.58-3.83, 2 Tl 3.59-3.87, 3 K 3.85-3.96
24 K 0.9760 0.0240 0.2500  4 Sb 3.50-3.59, 1 K 3.85
25 Tl 0.1244 0.2944 0.9296  3 Sb 3.22-3.24, 1 K 3.59
26 Tl 0.2685 0.4398 0.7722  3 Sb 3.09-3.18, 1 Tl 3.25, 2 K 3.44
27 Tl 0.2944 0.1244 0.4296  3 Sb 3.22-3.24, 1 K 3.59
28 Tl 0.4398 0.2685 0.2722  3 Sb 3.09-3.18, 1 Tl 3.25, 2 K 3.44
29 Tl 0.5602 0.7315 0.7278  3 Sb 3.09-3.18, 1 Tl 3.25, 2 K 3.44
30 Tl 0.7056 0.8756 0.5704  3 Sb 3.22-3.24, 1 K 3.59
31 Tl 0.7315 0.5602 0.2278  3 Sb 3.09-3.18, 1 Tl 3.25, 2 K 3.44
32 Tl 0.8756 0.7056 0.0704  3 Sb 3.22-3.24, 1 K 3.59
33 Sb 0.0330 0.2104 0.6310  2 Tl 3.18-3.24, 3 K 3.49-3.54
34 Sb 0.1131 0.5711 0.8645  2 Tl 3.09-3.22
35 Sb 0.2104 0.0330 0.1310  2 Tl 3.18-3.24, 3 K 3.49-3.54
36 Sb 0.2727 0.3943 0.3616  2 Tl 3.11-3.23
37 Sb 0.3943 0.2727 0.8616  2 Tl 3.11-3.23
38 Sb 0.4289 0.8869 0.6355  2 Tl 3.09-3.22
39 Sb 0.5711 0.1131 0.3645  2 Tl 3.09-3.22
40 Sb 0.6057 0.7273 0.1384  2 Tl 3.11-3.23
41 Sb 0.7273 0.6057 0.6384  2 Tl 3.11-3.23
42 Sb 0.7896 0.9670 0.8690  2 Tl 3.18-3.24, 3 K 3.49-3.54
43 Sb 0.8869 0.4289 0.1355  2 Tl 3.09-3.22
44 Sb 0.9670 0.7896 0.3690  2 Tl 3.18-3.24, 3 K 3.49-3.54